Record 1
# CuSb2O6 | the Materials Project | PBE-GGA | relaxed
data_CuSb2O6
_chemical_formula_sum 'Cu2 Sb4 O12'
_space_group_name_H-M_alt 'P 1'
_space_group_IT_number 1
_space_group_name_Hall 'P 1'
_cell_length_a 4.7105
_cell_length_b 4.7476
_cell_length_c 10.5011
_cell_angle_alpha 90.00
_cell_angle_beta 116.47
_cell_angle_gamma 90.00
loop_
_atom_site_label
_atom_site_fract_x
_atom_site_fract_y
_atom_site_fract_z
O1 0.6253 0.8067 0.8286
O2 0.3747 0.3067 0.6714
Cu1 0.0000 0.5000 0.5000
O3 0.6964 0.1852 0.5003
Sb1 0.3326 0.4974 0.8326
Sb2 0.6674 0.9974 0.6674
Sb3 0.6674 0.5026 0.1674
O4 0.3036 0.6852 0.9997
O5 0.6964 0.3148 0.0003
Cu2 0.0000 0.0000 0.0000
O6 0.3036 0.8148 0.4997
O7 0.9679 0.6871 0.6707
Sb4 0.3326 0.0026 0.3326
O8 0.6253 0.6933 0.3286
O9 0.0321 0.3129 0.3293
O10 0.3747 0.1933 0.1714
O11 0.9679 0.8129 0.1707
O12 0.0321 0.1871 0.8293
# ΔH_f (0 K) = -1.64 eV per atom
# space-group type = No. 14
# polymorph energy (0 for the lowest one) = 0.001 eV/atom
# size of the total moment = 1.00 μB/f.u.

=====

Record 2
# Al8Pb9O21 | the Materials Project | PBE-GGA | relaxed
data_Al8Pb9O21
_chemical_formula_sum 'Al32 Pb36 O84'
_space_group_name_H-M_alt 'P 1'
_space_group_IT_number 1
_space_group_name_Hall 'P 1'
_cell_length_a 13.4703
_cell_length_b 13.4703
_cell_length_c 13.4703
_cell_angle_alpha 90.00
_cell_angle_beta 90.00
_cell_angle_gamma 90.00
loop_
_atom_site_label
_atom_site_fract_x
_atom_site_fract_y
_atom_site_fract_z
Al1 0.1070 0.2816 0.9546
Al2 0.8930 0.7816 0.5454
O1 0.8790 0.3096 0.7118
Pb1 0.0000 0.0000 0.5000
Pb2 0.2755 0.7245 0.2245
O2 0.4528 0.5541 0.2031
O3 0.5472 0.4459 0.7969
O4 0.1078 0.8922 0.3922
O5 0.9528 0.9459 0.7969
Pb3 0.2654 0.9568 0.3765
O6 0.9933 0.8304 0.6152
Al3 0.4546 0.3930 0.7184
O7 0.6152 0.9933 0.8304
Al4 0.8930 0.7184 0.0454
Al5 0.2184 0.4546 0.1070
O8 0.1152 0.5067 0.1696
Pb4 0.7245 0.2245 0.2755
Al6 0.9546 0.1070 0.2816
O9 0.0067 0.3304 0.8848
Pb5 0.2245 0.2755 0.7245
O10 0.8304 0.8848 0.4933
Pb6 0.0432 0.6235 0.7346
O11 0.5000 0.0000 0.5000
Al7 0.3930 0.7184 0.4546
O12 0.5000 0.5000 0.0000
O13 0.8922 0.1078 0.6078
Al8 0.0454 0.8930 0.7184
Pb7 0.4568 0.3765 0.2346
Al9 0.1070 0.2184 0.4546
Pb8 0.7346 0.0432 0.6235
O14 0.8848 0.4933 0.8304
O15 0.7118 0.6210 0.8096
O16 0.7118 0.8790 0.3096
Pb9 0.2654 0.5432 0.8765
O17 0.0000 0.0000 0.0000
O18 0.5541 0.2031 0.4528
Pb10 0.7654 0.9568 0.1235
Pb11 0.9568 0.3765 0.2654
O19 0.2118 0.8790 0.1904
Al10 0.2184 0.0454 0.6070
Al11 0.0454 0.6070 0.2184
Al12 0.5745 0.4255 0.9255
O20 0.3790 0.1904 0.2882
Al13 0.5745 0.0745 0.4255
Al14 0.4255 0.5745 0.0745
O21 0.9459 0.7031 0.4528
O22 0.6210 0.8096 0.7118
O23 0.2031 0.0472 0.0541
Al15 0.7816 0.9546 0.3930
O24 0.8922 0.3922 0.1078
Pb12 0.7654 0.5432 0.6235
O25 0.1210 0.6904 0.2882
O26 0.2882 0.3790 0.1904
O27 0.2118 0.6210 0.6904
Pb13 0.5432 0.6235 0.7654
O28 0.1210 0.8096 0.7882
Pb14 0.0000 0.5000 0.0000
Pb15 0.6235 0.7654 0.5432
O29 0.7969 0.9528 0.9459
Pb16 0.2346 0.4568 0.3765
Al16 0.7184 0.4546 0.3930
O30 0.5067 0.1696 0.1152
Al17 0.4255 0.9255 0.5745
Pb17 0.7245 0.2755 0.7755
O31 0.4459 0.7031 0.0472
Pb18 0.2346 0.0432 0.8765
Pb19 0.5000 0.5000 0.5000
O32 0.6152 0.5067 0.3304
O33 0.0472 0.0541 0.2031
O34 0.8790 0.1904 0.2118
O35 0.6696 0.1152 0.9933
O36 0.6078 0.8922 0.1078
Al18 0.6070 0.2816 0.5454
Pb20 0.4568 0.1235 0.7346
O37 0.8096 0.7882 0.1210
Al19 0.5454 0.8930 0.7816
O38 0.7882 0.3790 0.3096
Pb21 0.3765 0.2346 0.4568
Pb22 0.9568 0.1235 0.7654
Pb23 0.0432 0.8765 0.2346
O39 0.6696 0.3848 0.4933
O40 0.3922 0.3922 0.3922
O41 0.8304 0.6152 0.9933
O42 0.4933 0.6696 0.3848
O43 0.3848 0.4933 0.6696
O44 0.5472 0.0541 0.2969
Al20 0.9546 0.3930 0.7816
O45 0.1078 0.6078 0.8922
O46 0.5541 0.2969 0.9528
O47 0.2031 0.4528 0.5541
Al21 0.0745 0.4255 0.5745
O48 0.9933 0.6696 0.1152
O49 0.3304 0.8848 0.0067
O50 0.4528 0.9459 0.7031
Pb24 0.3765 0.2654 0.9568
Pb25 0.5432 0.8765 0.2654
Al22 0.6070 0.2184 0.0454
O51 0.1696 0.1152 0.5067
Pb26 0.1235 0.7346 0.4568
Pb27 0.2755 0.7755 0.7245
Pb28 0.8765 0.2654 0.5432
Pb29 0.7346 0.4568 0.1235
Pb30 0.1235 0.7654 0.9568
O52 0.4933 0.8304 0.8848
O53 0.1696 0.3848 0.0067
Pb31 0.7755 0.7245 0.2755
O54 0.9459 0.7969 0.9528
O55 0.2969 0.5472 0.0541
O56 0.7882 0.1210 0.8096
Al23 0.7184 0.0454 0.8930
Pb32 0.2245 0.2245 0.2245
O57 0.2882 0.1210 0.6904
Al24 0.9255 0.9255 0.9255
Pb33 0.7755 0.7755 0.7755
O58 0.0541 0.2969 0.5472
O59 0.3848 0.0067 0.1696
Al25 0.2816 0.5454 0.6070
O60 0.9528 0.5541 0.2969
O61 0.0000 0.5000 0.5000
O62 0.0067 0.1696 0.3848
O63 0.3304 0.6152 0.5067
Pb34 0.8765 0.2346 0.0432
O64 0.4459 0.7969 0.5472
O65 0.3790 0.3096 0.7882
Pb35 0.6235 0.7346 0.0432
O66 0.7969 0.5472 0.4459
Al26 0.4546 0.1070 0.2184
Al27 0.3930 0.7816 0.9546
O67 0.6904 0.2882 0.1210
O68 0.1152 0.9933 0.6696
O69 0.6904 0.2118 0.6210
Al28 0.2816 0.9546 0.1070
O70 0.1904 0.2882 0.3790
O71 0.7031 0.0472 0.4459
Al29 0.5454 0.6070 0.2816
O72 0.3922 0.1078 0.8922
O73 0.3096 0.7882 0.3790
O74 0.7031 0.4528 0.9459
O75 0.5067 0.3304 0.6152
O76 0.0541 0.2031 0.0472
O77 0.8848 0.0067 0.3304
Al30 0.9255 0.5745 0.4255
O78 0.0472 0.4459 0.7031
O79 0.1904 0.2118 0.8790
O80 0.6210 0.6904 0.2118
Al31 0.7816 0.5454 0.8930
O81 0.2969 0.9528 0.5541
Pb36 0.5000 0.0000 0.0000
O82 0.3096 0.7118 0.8790
Al32 0.0745 0.0745 0.0745
O83 0.6078 0.6078 0.6078
O84 0.8096 0.7118 0.6210
# ΔH_f (0 K) = -2.52 eV per atom
# space-group type = No. 205
# size of the total moment = 0.00 μB/f.u.

=====

Record 3
# KPbO2 | the Materials Project | PBE-GGA | relaxed
data_KPbO2
_chemical_formula_sum 'K4 Pb4 O8'
_space_group_name_H-M_alt 'P 1'
_space_group_IT_number 1
_space_group_name_Hall 'P 1'
_cell_length_a 6.5884
_cell_length_b 7.1228
_cell_length_c 7.6227
_cell_angle_alpha 117.54
_cell_angle_beta 93.67
_cell_angle_gamma 104.88
loop_
_atom_site_label
_atom_site_fract_x
_atom_site_fract_y
_atom_site_fract_z
O1 0.7133 0.5917 0.4307
K1 0.9836 0.9999 0.2571
Pb1 0.5077 0.2390 0.5007
K2 0.5302 0.7465 0.0048
K3 0.0164 0.0001 0.7429
O2 0.7099 0.6376 0.7940
O3 0.6872 0.0887 0.4007
Pb2 0.4923 0.7610 0.4993
O4 0.7230 0.1695 0.8016
O5 0.2770 0.8305 0.1984
Pb3 0.9325 0.4883 0.7405
O6 0.3128 0.9113 0.5993
K4 0.4698 0.2535 0.9952
Pb4 0.0675 0.5117 0.2595
O7 0.2867 0.4083 0.5693
O8 0.2901 0.3624 0.2060
# ΔH_f (0 K) = -0.74 eV per atom
# space-group type = No. 2
# size of the total moment = 0.00 μB/f.u.

=====

Record 4
# ErTaO4 | the Materials Project | PBE-GGA | relaxed
data_ErTaO4
_chemical_formula_sum 'Er2 Ta2 O8'
_space_group_name_H-M_alt 'P 1'
_space_group_IT_number 1
_space_group_name_Hall 'P 1'
_cell_length_a 6.5189
_cell_length_b 6.5189
_cell_length_c 5.0824
_cell_angle_alpha 69.44
_cell_angle_beta 69.44
_cell_angle_gamma 115.03
loop_
_atom_site_label
_atom_site_fract_x
_atom_site_fract_y
_atom_site_fract_z
Ta1 0.8978 0.1022 0.2500
Er1 0.3686 0.6314 0.2500
O1 0.2774 0.2143 0.2846
O2 0.7857 0.7226 0.2154
O3 0.6309 0.0512 0.1592
O4 0.9488 0.3691 0.3408
O5 0.7226 0.7857 0.7154
Ta2 0.1022 0.8978 0.7500
O6 0.2143 0.2774 0.7846
O7 0.0512 0.6309 0.6592
Er2 0.6314 0.3686 0.7500
O8 0.3691 0.9488 0.8408
# ΔH_f (0 K) = -3.74 eV per atom
# space-group type = No. 15

=====

Record 5
# Cu2AgBiPbS4 | the Materials Project | PBE-GGA | relaxed
data_Cu2AgBiPbS4
_chemical_formula_sum 'Cu8 Ag4 Bi4 Pb4 S16'
_space_group_name_H-M_alt 'P 1'
_space_group_IT_number 1
_space_group_name_Hall 'P 1'
_cell_length_a 4.1539
_cell_length_b 12.8634
_cell_length_c 14.7771
_cell_angle_alpha 90.00
_cell_angle_beta 90.00
_cell_angle_gamma 90.00
loop_
_atom_site_label
_atom_site_fract_x
_atom_site_fract_y
_atom_site_fract_z
S1 0.7500 0.5080 0.7857
S2 0.2500 0.1027 0.9164
S3 0.7500 0.6277 0.0317
Pb1 0.2500 0.2127 0.3327
S4 0.7500 0.3973 0.4164
Cu1 0.2500 0.4422 0.3665
S5 0.2500 0.7783 0.8156
Cu2 0.2500 0.9422 0.1335
Pb2 0.2500 0.7127 0.1673
Pb3 0.7500 0.2873 0.8327
S6 0.7500 0.8973 0.0836
Cu3 0.7500 0.5578 0.6335
S7 0.2500 0.4920 0.2143
S8 0.2500 0.6027 0.5836
Cu4 0.7500 0.0578 0.8665
S9 0.7500 0.0080 0.7143
S10 0.7500 0.1277 0.4683
S11 0.2500 0.3723 0.9683
Cu5 0.2500 0.9432 0.8564
Ag1 0.7500 0.3316 0.5773
Pb4 0.7500 0.7873 0.6673
Cu6 0.7500 0.0568 0.1436
Ag2 0.2500 0.1684 0.0773
S12 0.2500 0.8723 0.5317
S13 0.7500 0.2217 0.1844
S14 0.7500 0.7217 0.3156
Ag3 0.7500 0.8316 0.9227
S15 0.2500 0.2783 0.6844
Bi1 0.2500 0.5711 0.8979
S16 0.2500 0.9920 0.2857
Bi2 0.2500 0.0711 0.6021
Bi3 0.7500 0.4289 0.1021
Cu7 0.7500 0.5568 0.3564
Ag4 0.2500 0.6684 0.4227
Bi4 0.7500 0.9289 0.3979
Cu8 0.2500 0.4432 0.6436
# ΔH_f (0 K) = -0.49 eV per atom
# space-group type = No. 62
# size of the total moment = 0.00 μB/f.u.

=====

Record 6
# CeSe2 | the Materials Project | PBE-GGA | relaxed
data_CeSe2
_chemical_formula_sum 'Ce24 Se48'
_space_group_name_H-M_alt 'P 1'
_space_group_IT_number 1
_space_group_name_Hall 'P 1'
_cell_length_a 17.1408
_cell_length_b 17.1408
_cell_length_c 17.1408
_cell_angle_alpha 84.71
_cell_angle_beta 84.71
_cell_angle_gamma 84.71
loop_
_atom_site_label
_atom_site_fract_x
_atom_site_fract_y
_atom_site_fract_z
Se1 0.3368 0.2941 0.9839
Se2 0.7741 0.3860 0.7654
Ce1 0.9953 0.2294 0.1847
Se3 0.1457 0.7829 0.8724
Se4 0.7378 0.9454 0.9059
Ce2 0.7706 0.8153 0.0047
Ce3 0.9060 0.2926 0.7225
Se5 0.8543 0.2171 0.1276
Se6 0.5644 0.9440 0.2966
Se7 0.5160 0.4391 0.8541
Ce4 0.5733 0.1142 0.6414
Ce5 0.1142 0.6414 0.5733
Ce6 0.3586 0.4267 0.8858
Ce7 0.0940 0.7074 0.2775
Ce8 0.2926 0.7225 0.9060
Ce9 0.6366 0.3265 0.8270
Ce10 0.7074 0.2775 0.0940
Se8 0.4356 0.0560 0.7034
Ce11 0.3634 0.6735 0.1730
Ce12 0.1730 0.3634 0.6735
Ce13 0.6414 0.5733 0.1142
Ce14 0.3265 0.8270 0.6366
Se9 0.7710 0.0406 0.3379
Se10 0.7034 0.4356 0.0560
Se11 0.4391 0.8541 0.5160
Se12 0.0406 0.3379 0.7710
Se13 0.6621 0.2290 0.9594
Ce15 0.8858 0.3586 0.4267
Se14 0.9440 0.2966 0.5644
Se15 0.9059 0.7378 0.9454
Ce16 0.8270 0.6366 0.3265
Se16 0.5856 0.2451 0.7156
Se17 0.0161 0.6632 0.7059
Se18 0.4144 0.7549 0.2844
Se19 0.3379 0.7710 0.0406
Se20 0.7654 0.7741 0.3860
Se21 0.0560 0.7034 0.4356
Se22 0.1459 0.4840 0.5609
Se23 0.2966 0.5644 0.9440
Se24 0.2622 0.0546 0.0941
Se25 0.5609 0.1459 0.4840
Se26 0.2941 0.9839 0.3368
Se27 0.0546 0.0941 0.2622
Se28 0.2844 0.4144 0.7549
Se29 0.9839 0.3368 0.2941
Se30 0.2451 0.7156 0.5856
Ce17 0.6735 0.1730 0.3634
Se31 0.2259 0.6140 0.2346
Se32 0.6140 0.2346 0.2259
Ce18 0.4267 0.8858 0.3586
Se33 0.6632 0.7059 0.0161
Se34 0.7156 0.5856 0.2451
Se35 0.9594 0.6621 0.2290
Se36 0.7829 0.8724 0.1457
Se37 0.1276 0.8543 0.2171
Se38 0.9454 0.9059 0.7378
Se39 0.0941 0.2622 0.0546
Se40 0.7059 0.0161 0.6632
Ce19 0.8153 0.0047 0.7706
Ce20 0.0047 0.7706 0.8153
Ce21 0.2294 0.1847 0.9953
Se41 0.2346 0.2259 0.6140
Se42 0.8541 0.5160 0.4391
Ce22 0.7225 0.9060 0.2926
Se43 0.2171 0.1276 0.8543
Se44 0.2290 0.9594 0.6621
Se45 0.4840 0.5609 0.1459
Se46 0.7549 0.2844 0.4144
Ce23 0.1847 0.9953 0.2294
Se47 0.8724 0.1457 0.7829
Se48 0.3860 0.7654 0.7741
Ce24 0.2775 0.0940 0.7074
# ΔH_f (0 K) = -1.41 eV per atom
# space-group type = No. 148
# size of the total moment = 0.00 μB/f.u.

=====

Record 7
# Be22Re | the Materials Project | PBE-GGA | relaxed
data_Be22Re
_chemical_formula_sum 'Be44 Re2'
_space_group_name_H-M_alt 'P 1'
_space_group_IT_number 1
_space_group_name_Hall 'P 1'
_cell_length_a 8.1303
_cell_length_b 8.1303
_cell_length_c 8.1303
_cell_angle_alpha 60.00
_cell_angle_beta 60.00
_cell_angle_gamma 60.00
loop_
_atom_site_label
_atom_site_fract_x
_atom_site_fract_y
_atom_site_fract_z
Be1 0.1146 0.3854 0.3854
Be2 0.9494 0.4198 0.6814
Be3 0.9494 0.4198 0.9494
Be4 0.3854 0.1146 0.3854
Be5 0.3854 0.3854 0.1146
Be6 0.6250 0.6250 0.6250
Be7 0.4198 0.9494 0.6814
Be8 0.5686 0.3006 0.8302
Be9 0.3006 0.8302 0.3006
Be10 0.1146 0.1146 0.3854
Be11 0.4198 0.9494 0.9494
Be12 0.8302 0.3006 0.5686
Be13 0.3006 0.5686 0.3006
Be14 0.6250 0.6250 0.1250
Be15 0.1146 0.3854 0.1146
Be16 0.8646 0.1354 0.1354
Be17 0.1250 0.6250 0.1250
Re1 0.7500 0.7500 0.7500
Be18 0.4198 0.6814 0.9494
Be19 0.3006 0.3006 0.8302
Be20 0.1354 0.1354 0.8646
Be21 0.6814 0.9494 0.4198
Be22 0.9494 0.9494 0.6814
Be23 0.9494 0.9494 0.4198
Be24 0.5686 0.3006 0.3006
Be25 0.6814 0.4198 0.9494
Be26 0.6814 0.9494 0.9494
Be27 0.9494 0.6814 0.4198
Be28 0.8302 0.3006 0.3006
Re2 0.5000 0.5000 0.5000
Be29 0.3006 0.5686 0.8302
Be30 0.3006 0.8302 0.5686
Be31 0.1250 0.1250 0.1250
Be32 0.3854 0.1146 0.1146
Be33 0.8302 0.5686 0.3006
Be34 0.8646 0.1354 0.8646
Be35 0.1250 0.1250 0.6250
Be36 0.1250 0.6250 0.6250
Be37 0.9494 0.6814 0.9494
Be38 0.6250 0.1250 0.6250
Be39 0.3006 0.3006 0.5686
Be40 0.1354 0.8646 0.1354
Be41 0.5686 0.8302 0.3006
Be42 0.8646 0.8646 0.1354
Be43 0.1354 0.8646 0.8646
Be44 0.6250 0.1250 0.1250
# ΔH_f (0 K) = -0.06 eV per atom
# space-group type = No. 227

=====

Record 8
# Si3CCl7 | the Materials Project | PBE-GGA | relaxed
data_Si3CCl7
_chemical_formula_sum 'Si12 C4 Cl28'
_space_group_name_H-M_alt 'P 1'
_space_group_IT_number 1
_space_group_name_Hall 'P 1'
_cell_length_a 9.3673
_cell_length_b 9.3673
_cell_length_c 18.1662
_cell_angle_alpha 77.27
_cell_angle_beta 77.27
_cell_angle_gamma 57.55
loop_
_atom_site_label
_atom_site_fract_x
_atom_site_fract_y
_atom_site_fract_z
Cl1 0.0998 0.9144 0.3909
Cl2 0.4918 0.7644 0.9984
Cl3 0.7768 0.4051 0.2842
Si1 0.6141 0.6383 0.0930
Cl4 0.2356 0.5082 0.5016
Si2 0.3859 0.3617 0.9070
Si3 0.3617 0.3859 0.4070
Cl5 0.2603 0.0604 0.1748
Cl6 0.5949 0.2232 0.2158
Cl7 0.7644 0.4918 0.4984
Cl8 0.6024 0.2008 0.4303
Cl9 0.4051 0.7768 0.7842
Cl10 0.9144 0.0998 0.8909
Si4 0.7587 0.1518 0.8129
Cl11 0.5114 0.7937 0.3195
Cl12 0.7333 0.7571 0.1097
Cl13 0.7571 0.7333 0.6097
Si5 0.6383 0.6141 0.5930
C1 0.3582 0.5387 0.3206
Si6 0.8482 0.2413 0.6871
Si7 0.4702 0.4019 0.7215
Cl14 0.2008 0.6024 0.9303
Si8 0.1518 0.7587 0.3129
Cl15 0.7992 0.3976 0.0697
Cl16 0.5082 0.2356 0.0016
Cl17 0.7397 0.9396 0.8252
Cl18 0.0856 0.9002 0.1091
Cl19 0.3976 0.7992 0.5697
Si9 0.5298 0.5981 0.2785
Cl20 0.0604 0.2603 0.6748
Cl21 0.9002 0.0856 0.6091
Cl22 0.2667 0.2429 0.8903
C2 0.5387 0.3582 0.8206
Cl23 0.2232 0.5949 0.7158
Cl24 0.7937 0.5114 0.8195
Cl25 0.4886 0.2063 0.6805
Si10 0.2413 0.8482 0.1871
Cl26 0.2063 0.4886 0.1805
C3 0.4613 0.6418 0.1794
Cl27 0.2429 0.2667 0.3903
Si11 0.5981 0.5298 0.7785
Si12 0.4019 0.4702 0.2215
Cl28 0.9396 0.7397 0.3252
C4 0.6418 0.4613 0.6794
# ΔH_f (0 K) = -1.36 eV per atom
# space-group type = No. 15
# size of the total moment = 0.00 μB/f.u.